Entry 1:
# Rb4MgSe4O14 (PBE, relaxed)
# energy of formation	-37.99	eV/f.u.
data_Rb4MgSe4O14
_chemical_formula_sum 'Rb4 Mg1 Se4 O14'
_cell_length_a 7.8917
_cell_length_b 8.1402
_cell_length_c 8.1882
_cell_angle_alpha 89.04
_cell_angle_beta 88.30
_cell_angle_gamma 63.35
_space_group_name_H-M_alt 'P 1'
_space_group_IT_number 1
_space_group_name_Hall 'P 1'
loop_
_atom_site_label
_atom_site_fract_x
_atom_site_fract_y
_atom_site_fract_z
Rb1 0.0000 0.0000 0.0000
Rb2 0.0655 0.2406 0.4056
Rb3 0.5352 0.0954 0.7128
Rb4 0.6161 0.7059 0.1792
Mg1 0.9373 0.5866 0.6835
Se1 0.1204 0.4371 0.9623
Se2 0.1539 0.7745 0.4949
Se3 0.5308 0.5989 0.7257
Se4 0.5683 0.1815 0.2449
O1 0.0250 0.6595 0.4752
O2 0.0629 0.9352 0.6340
O3 0.1243 0.3440 0.7655
O4 0.2244 0.8326 0.3240
O5 0.3637 0.5819 0.5872
O6 0.4208 0.7720 0.8513
O7 0.4329 0.4073 0.2298
O8 0.4672 0.0848 0.3741
O9 0.5989 0.0753 0.0629
O10 0.6291 0.3914 0.8015
O11 0.6821 0.6401 0.6007
O12 0.7838 0.1354 0.3148
O13 0.9477 0.6620 0.9082
O14 0.9974 0.3578 0.0834



Entry 2:
# Rb4MgSe4O14 (PBE, relaxed)
# energy of formation	-37.99	eV/f.u.
data_Rb4MgSe4O14
_chemical_formula_sum 'Rb4 Mg1 Se4 O14'
_cell_length_a 7.7034
_cell_length_b 7.8716
_cell_length_c 8.1822
_cell_angle_alpha 93.33
_cell_angle_beta 90.45
_cell_angle_gamma 116.01
_space_group_name_H-M_alt 'P 1'
_space_group_IT_number 1
_space_group_name_Hall 'P 1'
loop_
_atom_site_label
_atom_site_fract_x
_atom_site_fract_y
_atom_site_fract_z
Rb1 0.0000 0.0000 0.0000
Rb2 0.0090 0.7276 0.4730
Rb3 0.4410 0.3493 0.3562
Rb4 0.5041 0.8464 0.6416
Mg1 0.2867 0.5738 0.0262
Se1 0.4936 0.3440 0.7986
Se2 0.5149 0.9174 0.1792
Se3 0.8895 0.4900 0.0126
Se4 0.9662 0.1938 0.5220
O1 0.0029 0.3724 0.0885
O2 0.0289 0.1027 0.3539
O3 0.0560 0.6441 0.8983
O4 0.1557 0.3963 0.5918
O5 0.3595 0.0148 0.1751
O6 0.3715 0.3723 0.9570
O7 0.3715 0.6948 0.2584
O8 0.3762 0.1392 0.6976
O9 0.5063 0.8198 0.9783
O10 0.6069 0.5341 0.6978
O11 0.6924 0.3038 0.8934
O12 0.7743 0.2351 0.4840
O13 0.7934 0.5864 0.1444
O14 0.9065 0.0266 0.6595



Entry 3:
# Rb4MgSe4O14 (PBE, relaxed)
# energy of formation	-36.62	eV/f.u.
data_Rb4MgSe4O14
_chemical_formula_sum 'Rb8 Mg2 Se8 O28'
_cell_length_a 14.3413
_cell_length_b 8.1840
_cell_length_c 8.1270
_cell_angle_alpha 90.00
_cell_angle_beta 96.35
_cell_angle_gamma 90.00
_space_group_name_H-M_alt 'C 1 2 1'
_space_group_IT_number 5
_space_group_name_Hall 'C 2y'
loop_
_atom_site_label
_atom_site_fract_x
_atom_site_fract_y
_atom_site_fract_z
Rb1 0.1511 0.0000 0.4032
Rb2 0.1517 0.6958 0.8040
Mg1 0.0000 0.4326 0.0000
Se1 0.1039 0.1300 0.8890
Se2 0.1061 0.4986 0.3585
O1 0.0000 0.1810 0.0000
O2 0.0000 0.4696 0.5000
O3 0.0557 0.5808 0.1681
O4 0.0635 0.0276 0.7221
O5 0.1246 0.3277 0.8668
O6 0.1766 0.3452 0.3027
O7 0.1765 0.6498 0.4440
O8 0.1775 0.0254 0.0170



Entry 4:
# RbMg6SiO8 (PBE, relaxed)
# energy of formation	-37.81	eV/f.u.
data_RbMg6SiO8
_chemical_formula_sum 'Rb1 Mg6 Si1 O8'
_cell_length_a 4.6942
_cell_length_b 4.6942
_cell_length_c 8.3654
_cell_angle_alpha 90.00
_cell_angle_beta 90.00
_cell_angle_gamma 90.00
_space_group_name_H-M_alt 'P 4/m m m'
_space_group_IT_number 123
_space_group_name_Hall '-P 4 2'
loop_
_atom_site_label
_atom_site_fract_x
_atom_site_fract_y
_atom_site_fract_z
Rb1 0.0000 0.0000 0.0000
Mg1 0.0000 0.5000 0.2490
Mg2 0.5000 0.5000 0.0000
Mg3 0.5000 0.5000 0.5000
Si1 0.0000 0.0000 0.5000
O1 0.0000 0.0000 0.2981
O2 0.0000 0.5000 0.0000
O3 0.0000 0.5000 0.5000
O4 0.5000 0.5000 0.2521



Entry 5:
# RbMg6SiO8 (PBE, relaxed)
# energy of formation	-36.38	eV/f.u.
data_RbMg6SiO8
_chemical_formula_sum 'Rb1 Mg6 Si1 O8'
_cell_length_a 4.5603
_cell_length_b 4.5603
_cell_length_c 8.7366
_cell_angle_alpha 90.00
_cell_angle_beta 90.00
_cell_angle_gamma 90.00
_space_group_name_H-M_alt 'P 4/m m m'
_space_group_IT_number 123
_space_group_name_Hall '-P 4 2'
loop_
_atom_site_label
_atom_site_fract_x
_atom_site_fract_y
_atom_site_fract_z
Rb1 0.0000 0.0000 0.0000
Mg1 0.0000 0.0000 0.5000
Mg2 0.0000 0.5000 0.2557
Mg3 0.5000 0.5000 0.5000
Si1 0.5000 0.5000 0.0000
O1 0.0000 0.0000 0.2817
O2 0.0000 0.5000 0.0000
O3 0.0000 0.5000 0.5000
O4 0.5000 0.5000 0.2342



Entry 6:
# RbMg30TiO32 (PBE, relaxed)
# energy of formation	-188.20	eV/f.u.
data_RbMg30TiO32
_chemical_formula_sum 'Rb1 Mg30 Ti1 O32'
_cell_length_a 8.6240
_cell_length_b 8.6240
_cell_length_c 8.6384
_cell_angle_alpha 90.00
_cell_angle_beta 90.00
_cell_angle_gamma 90.00
_space_group_name_H-M_alt 'P 4/m m m'
_space_group_IT_number 123
_space_group_name_Hall '-P 4 2'
loop_
_atom_site_label
_atom_site_fract_x
_atom_site_fract_y
_atom_site_fract_z
Rb1 0.0000 0.0000 0.0000
Mg1 0.0000 0.0000 0.5000
Mg2 0.0000 0.2517 0.2531
Mg3 0.0000 0.5000 0.0000
Mg4 0.0000 0.5000 0.5000
Mg5 0.2473 0.5000 0.2524
Mg6 0.2490 0.2490 0.0000
Mg7 0.2488 0.2488 0.5000
Mg8 0.5000 0.5000 0.5000
Ti1 0.5000 0.5000 0.0000
O1 0.0000 0.0000 0.2784
O2 0.0000 0.2558 0.5000
O3 0.0000 0.2791 0.0000
O4 0.0000 0.5000 0.2542
O5 0.2503 0.2503 0.2487
O6 0.2522 0.5000 0.5000
O7 0.2605 0.5000 0.0000
O8 0.5000 0.5000 0.2484



Entry 7:
# RbMg14TiO16 (PBE, relaxed)
# energy of formation	-89.41	eV/f.u.
data_RbMg14TiO16
_chemical_formula_sum 'Rb1 Mg14 Ti1 O16'
_cell_length_a 8.6888
_cell_length_b 8.6888
_cell_length_c 4.4430
_cell_angle_alpha 90.00
_cell_angle_beta 90.00
_cell_angle_gamma 90.00
_space_group_name_H-M_alt 'P 4/m m m'
_space_group_IT_number 123
_space_group_name_Hall '-P 4 2'
loop_
_atom_site_label
_atom_site_fract_x
_atom_site_fract_y
_atom_site_fract_z
Rb1 0.0000 0.0000 0.0000
Mg1 0.0000 0.2534 0.5000
Mg2 0.0000 0.5000 0.0000
Mg3 0.2457 0.5000 0.5000
Mg4 0.2478 0.2478 0.0000
Ti1 0.5000 0.5000 0.0000
O1 0.0000 0.0000 0.5000
O2 0.0000 0.2813 0.0000
O3 0.0000 0.5000 0.5000
O4 0.2515 0.2515 0.5000
O5 0.2619 0.5000 0.0000
O6 0.5000 0.5000 0.5000



Entry 8:
# RbMg14TiO16 (PBE, relaxed)
# energy of formation	-89.82	eV/f.u.
data_RbMg14TiO16
_chemical_formula_sum 'Rb1 Mg14 Ti1 O16'
_cell_length_a 4.4695
_cell_length_b 8.6458
_cell_length_c 8.7087
_cell_angle_alpha 90.00
_cell_angle_beta 90.00
_cell_angle_gamma 90.00
_space_group_name_H-M_alt 'P m m m'
_space_group_IT_number 47
_space_group_name_Hall '-P 2 2'
loop_
_atom_site_label
_atom_site_fract_x
_atom_site_fract_y
_atom_site_fract_z
Rb1 0.0000 0.0000 0.0000
Mg1 0.0000 0.0000 0.5000
Mg2 0.0000 0.2485 0.2590
Mg3 0.0000 0.5000 0.5000
Mg4 0.5000 0.0000 0.2548
Mg5 0.5000 0.2470 0.0000
Mg6 0.5000 0.2492 0.5000
Mg7 0.5000 0.5000 0.2522
Ti1 0.0000 0.5000 0.0000
O1 0.0000 0.0000 0.2806
O2 0.0000 0.2584 0.5000
O3 0.0000 0.2820 0.0000
O4 0.0000 0.5000 0.2523
O5 0.5000 0.0000 0.0000
O6 0.5000 0.0000 0.5000
O7 0.5000 0.2510 0.2488
O8 0.5000 0.5000 0.0000
O9 0.5000 0.5000 0.5000



Entry 9:
# RbYMg14O16 (PBE, relaxed)
# energy of formation	-90.59	eV/f.u.
data_RbYMg14O16
_chemical_formula_sum 'Rb1 Y1 Mg14 O16'
_cell_length_a 8.7791
_cell_length_b 8.7791
_cell_length_c 4.5053
_cell_angle_alpha 90.00
_cell_angle_beta 90.00
_cell_angle_gamma 90.00
_space_group_name_H-M_alt 'P 4/m m m'
_space_group_IT_number 123
_space_group_name_Hall '-P 4 2'
loop_
_atom_site_label
_atom_site_fract_x
_atom_site_fract_y
_atom_site_fract_z
Rb1 0.0000 0.0000 0.0000
Y1 0.5000 0.5000 0.0000
Mg1 0.0000 0.2515 0.5000
Mg2 0.0000 0.5000 0.0000
Mg3 0.2365 0.5000 0.5000
Mg4 0.2441 0.2441 0.0000
O1 0.0000 0.0000 0.5000
O2 0.0000 0.2799 0.0000
O3 0.0000 0.5000 0.5000
O4 0.2460 0.5000 0.0000
O5 0.2522 0.2522 0.5000
O6 0.5000 0.5000 0.5000



Entry 10:
# RbYMg14O16 (PBE, relaxed)
# energy of formation	-90.02	eV/f.u.
data_RbYMg14O16
_chemical_formula_sum 'Rb1 Y1 Mg14 O16'
_cell_length_a 4.4961
_cell_length_b 8.7151
_cell_length_c 8.9539
_cell_angle_alpha 90.00
_cell_angle_beta 90.00
_cell_angle_gamma 90.00
_space_group_name_H-M_alt 'P m m m'
_space_group_IT_number 47
_space_group_name_Hall '-P 2 2'
loop_
_atom_site_label
_atom_site_fract_x
_atom_site_fract_y
_atom_site_fract_z
Rb1 0.0000 0.0000 0.0000
Y1 0.0000 0.0000 0.5000
Mg1 0.0000 0.2593 0.2430
Mg2 0.0000 0.5000 0.0000
Mg3 0.0000 0.5000 0.5000
Mg4 0.5000 0.0000 0.2377
Mg5 0.5000 0.2556 0.0000
Mg6 0.5000 0.2620 0.5000
Mg7 0.5000 0.5000 0.2472
O1 0.0000 0.0000 0.2652
O2 0.0000 0.2625 0.5000
O3 0.0000 0.2817 0.0000
O4 0.0000 0.5000 0.2569
O5 0.5000 0.0000 0.0000
O6 0.5000 0.0000 0.5000
O7 0.5000 0.2502 0.2512
O8 0.5000 0.5000 0.0000
O9 0.5000 0.5000 0.5000



Entry 11:
# MgReO3 (PBE, relaxed)
# energy of formation	-8.67	eV/f.u.
data_MgReO3
_chemical_formula_sum 'Mg1 Re1 O3'
_cell_length_a 3.9226
_cell_length_b 3.9226
_cell_length_c 3.9226
_cell_angle_alpha 90.00
_cell_angle_beta 90.00
_cell_angle_gamma 90.00
_space_group_name_H-M_alt 'P m -3 m'
_space_group_IT_number 221
_space_group_name_Hall '-P 4 2 3'
loop_
_atom_site_label
_atom_site_fract_x
_atom_site_fract_y
_atom_site_fract_z
Mg1 0.0000 0.0000 0.0000
Re1 0.5000 0.5000 0.5000
O1 0.0000 0.5000 0.5000



Entry 12:
# MgRe3S4O11 (PBE, relaxed)
# energy of formation	-10.07	eV/f.u.
data_MgRe3S4O11
_chemical_formula_sum 'Mg2 Re6 S8 O22'
_cell_length_a 8.4253
_cell_length_b 8.6060
_cell_length_c 11.6173
_cell_angle_alpha 68.33
_cell_angle_beta 84.71
_cell_angle_gamma 76.16
_space_group_name_H-M_alt 'P -1'
_space_group_IT_number 2
_space_group_name_Hall '-P 1'
loop_
_atom_site_label
_atom_site_fract_x
_atom_site_fract_y
_atom_site_fract_z
Mg1 0.1702 0.3050 0.1415
Re1 0.2150 0.6469 0.5305
Re2 0.3920 0.3528 0.3829
Re3 0.4826 0.2564 0.6994
S1 0.2481 0.3480 0.5712
S2 0.2670 0.6494 0.3242
S3 0.3784 0.5334 0.7129
S4 0.4011 0.8332 0.4675
O1 0.0118 0.9338 0.7398
O2 0.0191 0.7462 0.5503
O3 0.0304 0.5255 0.8479
O4 0.0470 0.3504 0.9375
O5 0.0487 0.7360 0.0792
O6 0.1135 0.9936 0.7776
O7 0.1445 0.0641 0.1933
O8 0.3153 0.2663 0.2925
O9 0.3327 0.4596 0.0348
O10 0.4419 0.3413 0.0114
O11 0.4685 0.0914 0.8342



Q: Which of these has the highest energy of formation?
A: MgReO3



Q: What is the energy of formation in the tenth record?
A: -90.02 eV/f.u.